Record 1
SnS2O8: optimized geometry, r²SCAN.

As for the calculated density: 3673 kg/m3. For the formation energy, the calculation gives -16.12 eV per formula unit. As for the crystal system: orthorhombic.

```
data_SnS2O8
_chemical_formula_sum 'Sn8 S16 O64'
_cell_length_a 9.0821
_cell_length_b 13.2434
_cell_length_c 9.3477
_cell_angle_alpha 90.00
_cell_angle_beta 90.00
_cell_angle_gamma 90.00
_symmetry_space_group_name_H-M 'P b c a'
_symmetry_Int_Tables_number 61
_symmetry_space_group_name_Hall '-P 2ac 2ab'
loop_
_atom_site_label
_atom_site_type_symbol
_atom_site_fract_x
_atom_site_fract_y
_atom_site_fract_z
Sn1 Sn 0.1063 0.1263 0.1415
S1 S 0.0659 0.7212 0.0804
S2 S 0.1884 0.0147 0.8440
O1 O 0.0090 0.7242 0.2315
O2 O 0.0138 0.6384 0.0000
O3 O 0.0251 0.6772 0.5212
O4 O 0.0315 0.5094 0.3070
O5 O 0.1988 0.0227 0.0035
O6 O 0.2279 0.0806 0.3123
O7 O 0.2308 0.7274 0.0907
O8 O 0.2376 0.1011 0.7702
```

Record 2
Tb2S3O12: optimized geometry, r²SCAN.

As for the calculated density: 3626 kg/m3. For the formation energy, the calculation gives -39.98 eV per formula unit. As for the crystal system: orthorhombic.

```
data_Tb2S3O12
_chemical_formula_sum 'Tb8 S12 O48'
_cell_length_a 12.8192
_cell_length_b 9.2602
_cell_length_c 9.3530
_cell_angle_alpha 90.00
_cell_angle_beta 90.00
_cell_angle_gamma 90.00
_symmetry_space_group_name_H-M 'P b c n'
_symmetry_Int_Tables_number 60
_symmetry_space_group_name_Hall '-P 2n 2ab'
loop_
_atom_site_label
_atom_site_type_symbol
_atom_site_fract_x
_atom_site_fract_y
_atom_site_fract_z
Tb1 Tb 0.1180 0.2490 0.0372
S1 S 0.0000 0.0320 0.7500
S2 S 0.1457 0.3949 0.3859
O1 O 0.0421 0.3365 0.4184
O2 O 0.0546 0.1237 0.8534
O3 O 0.0767 0.0590 0.1761
O4 O 0.1455 0.4479 0.9051
O5 O 0.1737 0.3613 0.2374
O6 O 0.2222 0.3300 0.4834
```

Record 3
Tb2SO2: optimized geometry, r²SCAN.

As for the calculated density: 7629 kg/m3. For the formation energy, the calculation gives -17.76 eV per formula unit. As for the crystal system: trigonal.

```
data_Tb2SO2
_chemical_formula_sum 'Tb2 S1 O2'
_cell_length_a 3.8096
_cell_length_b 3.8096
_cell_length_c 6.6139
_cell_angle_alpha 90.00
_cell_angle_beta 90.00
_cell_angle_gamma 120.00
_symmetry_space_group_name_H-M 'P -3 m 1'
_symmetry_Int_Tables_number 164
_symmetry_space_group_name_Hall '-P 3 2"'
loop_
_atom_site_label
_atom_site_type_symbol
_atom_site_fract_x
_atom_site_fract_y
_atom_site_fract_z
Tb1 Tb 0.3333 0.6667 0.2827
S1 S 0.0000 0.0000 0.0000
O1 O 0.3333 0.6667 0.6291
```

Record 4
TeS4O14: optimized geometry, r²SCAN.

As for the calculated density: 2977 kg/m3. For the formation energy, the calculation gives -22.47 eV per formula unit. As for the crystal system: triclinic.

```
data_TeS4O14
_chemical_formula_sum 'Te2 S8 O28'
_cell_length_a 6.8344
_cell_length_b 6.8346
_cell_length_c 12.0235
_cell_angle_alpha 80.23
_cell_angle_beta 80.43
_cell_angle_gamma 77.48
_symmetry_space_group_name_H-M 'P 1'
_symmetry_Int_Tables_number 1
_symmetry_space_group_name_Hall 'P 1'
loop_
_atom_site_label
_atom_site_type_symbol
_atom_site_fract_x
_atom_site_fract_y
_atom_site_fract_z
Te1 Te 0.0000 0.0000 0.0000
Te2 Te 0.1249 0.8909 0.5005
S1 S 0.2585 0.6336 0.7487
S2 S 0.2786 0.4364 0.4335
S3 S 0.3702 0.7502 0.2559
S4 S 0.5284 0.8671 0.6059
S5 S 0.5920 0.0198 0.9003
S6 S 0.7592 0.1322 0.2523
S7 S 0.8618 0.2515 0.7537
S8 S 0.9885 0.4010 0.1027
O1 O 0.0000 0.0992 0.8292
O2 O 0.1220 0.7871 0.6747
O3 O 0.1274 0.6019 0.4968
O4 O 0.1659 0.3063 0.1503
O5 O 0.1748 0.2751 0.4406
O6 O 0.2260 0.8961 0.3285
O7 O 0.2373 0.6967 0.8574
O8 O 0.2630 0.4306 0.7389
O9 O 0.2794 0.5394 0.3039
O10 O 0.3226 0.7929 0.1429
O11 O 0.3827 0.0669 0.9399
O12 O 0.4183 0.8637 0.5010
O13 O 0.4341 0.0374 0.6602
O14 O 0.4719 0.4053 0.4671
O15 O 0.4877 0.6643 0.6833
O16 O 0.5524 0.1431 0.2484
O17 O 0.5716 0.7139 0.2781
O18 O 0.6344 0.2201 0.8202
O19 O 0.6818 0.8458 0.8485
O20 O 0.7047 0.0260 0.0035
O21 O 0.7376 0.8262 0.5659
O22 O 0.7926 0.3607 0.1876
O23 O 0.8329 0.1038 0.3585
O24 O 0.8574 0.4548 0.7619
O25 O 0.8850 0.1830 0.6467
O26 O 0.9015 0.9945 0.1745
O27 O 0.9435 0.6116 0.0647
O28 O 0.9685 0.2943 0.0002
```

Record 5
ThSO: optimized geometry, r²SCAN.

As for the calculated density: 8692 kg/m3. For the formation energy, the calculation gives -10.10 eV per formula unit. As for the crystal system: tetragonal.

```
data_ThSO
_chemical_formula_sum 'Th2 S2 O2'
_cell_length_a 3.9742
_cell_length_b 3.9742
_cell_length_c 6.7759
_cell_angle_alpha 90.00
_cell_angle_beta 90.00
_cell_angle_gamma 90.00
_symmetry_space_group_name_H-M 'P 4/n m m'
_symmetry_Int_Tables_number 129
loop_
_symmetry_equiv_pos_as_xyz
'x,y,z'
'-x,-y,-z'
'-y+1/2,x,z'
'y+1/2,-x,-z'
'-x+1/2,-y+1/2,z'
'x+1/2,y+1/2,-z'
'y,-x+1/2,z'
'-y,x+1/2,-z'
'x+1/2,-y,-z'
'-x+1/2,y,z'
'-y,-x,-z'
'y,x,z'
'-x,y+1/2,-z'
'x,-y+1/2,z'
'y+1/2,x+1/2,-z'
'-y+1/2,-x+1/2,z'
loop_
_atom_site_label
_atom_site_type_symbol
_atom_site_fract_x
_atom_site_fract_y
_atom_site_fract_z
Th1 Th 0.2500 0.2500 0.1997
S1 S 0.2500 0.2500 0.6394
O1 O 0.2500 0.7500 0.0000
```

Record 6
TiSO5: optimized geometry, r²SCAN.

As for the calculated density: 3181 kg/m3. For the formation energy, the calculation gives -15.59 eV per formula unit. As for the crystal system: monoclinic. The calculation puts the energy above the most stable polymorph in this dataset at 0.0 meV/atom.

```
data_TiSO5
_chemical_formula_sum 'Ti8 S8 O40'
_cell_length_a 5.1307
_cell_length_b 13.7582
_cell_length_c 9.4626
_cell_angle_alpha 90.00
_cell_angle_beta 90.31
_cell_angle_gamma 90.00
_symmetry_space_group_name_H-M 'C 1 2/c 1'
_symmetry_Int_Tables_number 15
_symmetry_space_group_name_Hall '-C 2yc'
loop_
_atom_site_label
_atom_site_type_symbol
_atom_site_fract_x
_atom_site_fract_y
_atom_site_fract_z
Ti1 Ti 0.0000 0.0875 0.2500
Ti2 Ti 0.2500 0.2500 0.0000
S1 S 0.2486 0.3920 0.4319
O1 O 0.0105 0.3484 0.0858
O2 O 0.0536 0.1850 0.5916
O3 O 0.2028 0.1705 0.1570
O4 O 0.2237 0.0316 0.6713
O5 O 0.2264 0.0691 0.4232
```

Record 7
TiSO5: optimized geometry, r²SCAN.

As for the calculated density: 2768 kg/m3. For the formation energy, the calculation gives -15.56 eV per formula unit. As for the crystal system: orthorhombic. The calculation puts the energy above the most stable polymorph in this dataset at 5.6 meV/atom.

```
data_TiSO5
_chemical_formula_sum 'Ti4 S4 O20'
_cell_length_a 11.1011
_cell_length_b 5.2535
_cell_length_c 6.5792
_cell_angle_alpha 90.00
_cell_angle_beta 90.00
_cell_angle_gamma 90.00
_symmetry_space_group_name_H-M 'P n m a'
_symmetry_Int_Tables_number 62
_symmetry_space_group_name_Hall '-P 2ac 2n'
loop_
_atom_site_label
_atom_site_type_symbol
_atom_site_fract_x
_atom_site_fract_y
_atom_site_fract_z
Ti1 Ti 0.0571 0.2500 0.1574
S1 S 0.1550 0.7500 0.4759
O1 O 0.0000 0.0000 0.0000
O2 O 0.0910 0.7500 0.6717
O3 O 0.1262 0.5198 0.3632
O4 O 0.2153 0.2500 0.0206
```

Record 8
TiSO5: optimized geometry, r²SCAN.

As for the calculated density: 2826 kg/m3. For the formation energy, the calculation gives -15.57 eV per formula unit. As for the crystal system: orthorhombic. The calculation puts the energy above the most stable polymorph in this dataset at 3.2 meV/atom.

```
data_TiSO5
_chemical_formula_sum 'Ti16 S16 O80'
_cell_length_a 5.2577
_cell_length_b 26.0454
_cell_length_c 10.9796
_cell_angle_alpha 90.00
_cell_angle_beta 90.00
_cell_angle_gamma 90.00
_symmetry_space_group_name_H-M 'P m c 21'
_symmetry_Int_Tables_number 26
_symmetry_space_group_name_Hall 'P 2c -2'
loop_
_atom_site_label
_atom_site_type_symbol
_atom_site_fract_x
_atom_site_fract_y
_atom_site_fract_z
Ti1 Ti 0.0000 0.0195 0.0000
Ti2 Ti 0.0000 0.2296 0.5185
Ti3 Ti 0.0000 0.2719 0.0032
Ti4 Ti 0.0000 0.4707 0.5168
Ti5 Ti 0.5000 0.1006 0.8937
Ti6 Ti 0.5000 0.1545 0.3854
Ti7 Ti 0.5000 0.3566 0.9062
Ti8 Ti 0.5000 0.3946 0.3914
S1 S 0.0000 0.0748 0.2831
S2 S 0.0000 0.1812 0.7979
S3 S 0.0000 0.3207 0.2911
S4 S 0.0000 0.4372 0.8141
S5 S 0.5000 0.0598 0.5989
S6 S 0.5000 0.1917 0.0950
S7 S 0.5000 0.3039 0.6195
S8 S 0.5000 0.4481 0.1153
O1 O 0.0000 0.0283 0.3593
O2 O 0.0000 0.0579 0.1554
O3 O 0.0000 0.1838 0.6636
O4 O 0.0000 0.2343 0.8451
O5 O 0.0000 0.2871 0.3993
O6 O 0.0000 0.2884 0.1810
O7 O 0.0000 0.4406 0.6807
O8 O 0.0000 0.4902 0.8616
O9 O 0.2296 0.1045 0.3054
O10 O 0.2297 0.1550 0.8372
O11 O 0.2301 0.3519 0.2910
O12 O 0.2298 0.4110 0.8529
O13 O 0.2501 0.1941 0.4459
O14 O 0.2500 0.3146 0.9564
O15 O 0.2499 0.4291 0.4659
O16 O 0.2505 0.0579 0.9388
O17 O 0.2698 0.0304 0.5773
O18 O 0.2704 0.2171 0.0532
O19 O 0.2700 0.2726 0.6191
O20 O 0.2701 0.4754 0.0794
O21 O 0.5000 0.0769 0.7256
O22 O 0.5000 0.1063 0.5230
O23 O 0.5000 0.1378 0.0528
O24 O 0.5000 0.1914 0.2290
O25 O 0.5000 0.3362 0.7298
O26 O 0.5000 0.3373 0.5111
O27 O 0.5000 0.3961 0.0618
O28 O 0.5000 0.4422 0.2489
```

| no. | E (eV/cell) |
| --- | --- |
| 1 | -837.8 |
| 2 | -792.8 |
| 3 | -100.2 |
| 4 | -327.3 |
| 5 | -195.2 |
| 6 | -531.4 |
| 7 | -265.6 |
| 8 | -1062.5 |